1.
# Fe13O15, relaxed, DFT PBE+U
# MP2020-corrected energy	-8.069	eV/atom
# formation enthalpy at 0 K	-1.49	eV/atom
# DFT total energy	-6.6533	eV/atom
data_Fe13O15
_space_group_name_H-M_alt 'P -1'
_space_group_IT_number 2
_cell_length_a 5.304
_cell_length_b 6.884
_cell_length_c 9.067
_cell_angle_alpha 72.64
_cell_angle_beta 74.06
_cell_angle_gamma 83.69
loop_
_space_group_symop_operation_xyz
'x,y,z'
'-x,-y,-z'
loop_
_atom_site_label
_atom_site_fract_x
_atom_site_fract_y
_atom_site_fract_z
Fe1 0.000 0.000 0.000
Fe2 0.117 0.774 0.475
Fe3 0.197 0.210 0.206
Fe4 0.252 0.598 0.938
Fe5 0.318 0.019 0.671
Fe6 0.392 0.413 0.401
Fe7 0.460 0.793 0.137
O1 0.000 0.500 0.500
O2 0.072 0.925 0.235
O3 0.152 0.282 0.985
O4 0.198 0.733 0.705
O5 0.279 0.095 0.433
O6 0.349 0.488 0.164
O7 0.412 0.909 0.890
O8 0.480 0.283 0.629



2.
# Fe3Co2SbP6O24, relaxed, DFT PBE+U
# MP2020-corrected energy	-7.650	eV/atom
# formation enthalpy at 0 K	-2.23	eV/atom
# DFT total energy	-6.9135	eV/atom
data_Fe3Co2SbP6O24
_space_group_name_H-M_alt 'R 3'
_space_group_IT_number 146
_space_group_name_Hall 'R 3'
_cell_length_a 8.6755
_cell_length_b 8.6755
_cell_length_c 20.8156
_cell_angle_alpha 90.00
_cell_angle_beta 90.00
_cell_angle_gamma 120.00
loop_
_atom_site_label
_atom_site_fract_x
_atom_site_fract_y
_atom_site_fract_z
Fe1 0.0000 0.0000 0.0000
Fe2 0.0000 0.0000 0.2094
Fe3 0.0000 0.0000 0.4982
Co1 0.0000 0.0000 0.3541
Co2 0.0000 0.0000 0.8617
Sb1 0.0000 0.0000 0.7122
P1 0.0035 0.7078 0.1037
P2 0.0371 0.3680 0.2700
O1 0.0004 0.8010 0.1651
O2 0.0008 0.1998 0.6673
O3 0.0163 0.1811 0.2793
O4 0.0164 0.8371 0.7781
O5 0.1396 0.6751 0.7096
O6 0.1439 0.4688 0.2117
O7 0.1655 0.6791 0.0963
O8 0.1667 0.4826 0.5981



3.
# Li9Mn2Co5O16, relaxed, DFT PBE+U
# MP2020-corrected energy	-6.494	eV/atom
# formation enthalpy at 0 K	-1.80	eV/atom
# DFT total energy	-5.7908	eV/atom
data_Li9Mn2Co5O16
_space_group_name_H-M_alt 'P 1'
_space_group_IT_number 1
_cell_length_a 2.980
_cell_length_b 7.795
_cell_length_c 12.567
_cell_angle_alpha 89.17
_cell_angle_beta 89.80
_cell_angle_gamma 81.46
loop_
_space_group_symop_operation_xyz
'x,y,z'
loop_
_atom_site_label
_atom_site_fract_x
_atom_site_fract_y
_atom_site_fract_z
Li1 0.000 0.000 0.000
Li2 0.046 0.881 0.682
Li3 0.120 0.747 0.377
Li4 0.237 0.502 0.743
Li5 0.376 0.246 0.126
Li6 0.506 0.994 0.507
Li7 0.635 0.744 0.871
Li8 0.750 0.498 0.247
Li9 0.886 0.235 0.625
Mn1 0.319 0.374 0.438
Mn2 0.441 0.115 0.807
Co1 0.185 0.625 0.061
Co2 0.557 0.870 0.187
Co3 0.671 0.633 0.568
Co4 0.820 0.373 0.940
Co5 0.943 0.120 0.311
O1 0.006 0.957 0.839
O2 0.059 0.794 0.533
O3 0.138 0.690 0.208
O4 0.233 0.552 0.913
O5 0.306 0.444 0.586
O6 0.365 0.305 0.288
O7 0.409 0.195 0.960
O8 0.461 0.066 0.665
O9 0.522 0.937 0.333
O10 0.556 0.804 0.037
O11 0.664 0.672 0.705
O12 0.688 0.560 0.418
O13 0.822 0.446 0.086
O14 0.867 0.288 0.789
O15 0.953 0.183 0.460
O16 0.974 0.056 0.163



4.
# CaNiBiO5, relaxed, DFT PBE+U
# MP2020-corrected energy	-6.069	eV/atom
# formation enthalpy at 0 K	-1.52	eV/atom
# DFT total energy	-5.3219	eV/atom
data_CaNiBiO5
_space_group_name_H-M_alt 'P b c a'
_space_group_IT_number 61
_cell_length_a 5.611
_cell_length_b 15.599
_cell_length_c 11.051
_cell_angle_alpha 90.00
_cell_angle_beta 90.00
_cell_angle_gamma 90.00
loop_
_space_group_symop_operation_xyz
'x,y,z'
'-x,-y,-z'
'-x+1/2,-y,z+1/2'
'x+1/2,y,-z+1/2'
'x+1/2,-y+1/2,-z'
'-x+1/2,y+1/2,z'
'-x,y+1/2,-z+1/2'
'x,-y+1/2,z+1/2'
loop_
_atom_site_label
_atom_site_fract_x
_atom_site_fract_y
_atom_site_fract_z
Ca1 0.013 0.051 0.141
Ni1 0.011 0.096 0.595
Bi1 0.067 0.735 0.158
O1 0.099 0.192 0.692
O2 0.152 0.521 0.818
O3 0.194 0.651 0.017
O4 0.205 0.564 0.540
O5 0.237 0.155 0.281



5.
# Mn2CrPb2O9, relaxed, DFT PBE+U
# MP2020-corrected energy	-7.463	eV/atom
# formation enthalpy at 0 K	-1.75	eV/atom
# DFT total energy	-6.6403	eV/atom
data_Mn2CrPb2O9
_space_group_name_H-M_alt 'P -1'
_space_group_IT_number 2
_cell_length_a 5.101
_cell_length_b 7.724
_cell_length_c 10.490
_cell_angle_alpha 91.98
_cell_angle_beta 99.51
_cell_angle_gamma 109.23
loop_
_space_group_symop_operation_xyz
'x,y,z'
'-x,-y,-z'
loop_
_atom_site_label
_atom_site_fract_x
_atom_site_fract_y
_atom_site_fract_z
Mn1 0.101 0.196 0.001
Mn2 0.302 0.604 0.006
Cr1 0.313 0.234 0.451
Pb1 0.001 0.610 0.320
Pb2 0.397 0.962 0.761
O1 0.051 0.325 0.430
O2 0.060 0.410 0.098
O3 0.078 0.987 0.896
O4 0.194 0.015 0.391
O5 0.239 0.785 0.109
O6 0.326 0.387 0.904
O7 0.446 0.652 0.630
O8 0.451 0.262 0.612
O9 0.475 0.233 0.094



6.
# RbLuMo2O8, relaxed, DFT PBE+U
# MP2020-corrected energy	-8.088	eV/atom
# formation enthalpy at 0 K	-2.52	eV/atom
# DFT total energy	-7.0965	eV/atom
data_RbLuMo2O8
_space_group_name_H-M_alt 'C 1 2/c 1'
_space_group_IT_number 15
_cell_length_a 10.732
_cell_length_b 10.358
_cell_length_c 7.677
_cell_angle_alpha 90.00
_cell_angle_beta 130.83
_cell_angle_gamma 90.00
loop_
_space_group_symop_operation_xyz
'x,y,z'
'-x,-y,-z'
'-x,y,-z+1/2'
'x,-y,z+1/2'
'x+1/2,y+1/2,z'
'-x+1/2,-y+1/2,-z'
'-x+1/2,y+1/2,-z+1/2'
'x+1/2,-y+1/2,z+1/2'
loop_
_atom_site_label
_atom_site_fract_x
_atom_site_fract_y
_atom_site_fract_z
Rb1 0.000 0.198 0.250
Lu1 0.000 0.228 0.750
Mo1 0.197 0.500 0.236
O1 0.023 0.389 0.966
O2 0.126 0.082 0.694
O3 0.191 0.424 0.439
O4 0.222 0.159 0.119



7.
# La4CoO8, relaxed, DFT PBE+U
# MP2020-corrected energy	-8.307	eV/atom
# formation enthalpy at 0 K	-3.20	eV/atom
# DFT total energy	-7.7586	eV/atom
data_La4CoO8
_space_group_name_H-M_alt 'C m m m'
_space_group_IT_number 65
_space_group_name_Hall '-C 2 2'
_cell_length_a 5.310
_cell_length_b 12.780
_cell_length_c 5.349
_cell_angle_alpha 90.00
_cell_angle_beta 90.00
_cell_angle_gamma 90.00
loop_
_atom_site_label
_atom_site_fract_x
_atom_site_fract_y
_atom_site_fract_z
La1 0.000 0.134 0.000
La2 0.000 0.365 0.500
Co1 0.000 0.500 0.000
O1 0.000 0.188 0.500
O2 0.000 0.338 0.000
O3 0.248 0.500 0.238



8.
# LiMn3B3O9, relaxed, DFT PBE+U
# MP2020-corrected energy	-8.263	eV/atom
# formation enthalpy at 0 K	-2.39	eV/atom
# DFT total energy	-7.5636	eV/atom
data_LiMn3B3O9
_space_group_name_H-M_alt 'P 1'
_space_group_IT_number 1
_cell_length_a 5.322
_cell_length_b 5.948
_cell_length_c 12.006
_cell_angle_alpha 83.94
_cell_angle_beta 79.77
_cell_angle_gamma 86.83
loop_
_space_group_symop_operation_xyz
'x,y,z'
loop_
_atom_site_label
_atom_site_fract_x
_atom_site_fract_y
_atom_site_fract_z
Li1 0.000 0.000 0.000
Li2 0.337 0.322 0.333
Mn1 0.011 0.009 0.588
Mn2 0.248 0.507 0.568
Mn3 0.366 0.331 0.910
Mn4 0.580 0.815 0.890
Mn5 0.693 0.670 0.247
Mn6 0.914 0.157 0.228
B1 0.113 0.738 0.796
B2 0.142 0.768 0.356
B3 0.451 0.051 0.124
B4 0.485 0.100 0.682
B5 0.774 0.371 0.460
B6 0.816 0.433 0.019
O1 0.023 0.295 0.482
O2 0.058 0.729 0.687
O3 0.177 0.782 0.469
O4 0.251 0.199 0.657
O5 0.294 0.153 0.210
O6 0.303 0.642 0.286
O7 0.349 0.652 0.817
O8 0.375 0.018 0.022
O9 0.526 0.096 0.793
O10 0.588 0.539 0.991
O11 0.616 0.485 0.539
O12 0.652 0.008 0.598
O13 0.704 0.984 0.138
O14 0.713 0.344 0.355
O15 0.852 0.437 0.132
O16 0.918 0.873 0.326
O17 0.947 0.836 0.880
O18 0.976 0.318 0.944



9.
# Li4V3P8O29, relaxed, DFT PBE+U
# MP2020-corrected energy	-7.614	eV/atom
# formation enthalpy at 0 K	-2.58	eV/atom
# DFT total energy	-7.0457	eV/atom
data_Li4V3P8O29
_space_group_name_H-M_alt 'P 1'
_space_group_IT_number 1
_cell_length_a 9.739
_cell_length_b 9.751
_cell_length_c 14.216
_cell_angle_alpha 89.96
_cell_angle_beta 89.86
_cell_angle_gamma 60.15
loop_
_space_group_symop_operation_xyz
'x,y,z'
loop_
_atom_site_label
_atom_site_fract_x
_atom_site_fract_y
_atom_site_fract_z
Li1 0.000 0.000 0.000
Li2 0.005 0.139 0.500
Li3 0.347 0.326 0.620
Li4 0.439 0.135 0.003
Li5 0.577 0.566 0.002
Li6 0.645 0.286 0.559
Li7 0.676 0.236 0.063
Li8 0.909 0.900 0.619
V1 0.109 0.236 0.307
V2 0.111 0.795 0.815
V3 0.239 0.232 0.810
V4 0.242 0.666 0.309
V5 0.673 0.795 0.315
V6 0.675 0.667 0.806
P1 0.005 0.570 0.194
P2 0.008 0.568 0.692
P3 0.335 0.902 0.429
P4 0.345 0.897 0.929
P5 0.362 0.321 0.402
P6 0.367 0.454 0.903
P7 0.451 0.540 0.720
P8 0.455 0.141 0.221
P9 0.589 0.542 0.217
P10 0.592 0.009 0.718
P11 0.756 0.925 0.903
P12 0.759 0.450 0.400
P13 0.893 0.318 0.898
P14 0.899 0.919 0.399
P15 0.986 0.008 0.218
P16 0.989 0.143 0.716
O1 0.002 0.568 0.090
O2 0.011 0.417 0.238
O3 0.017 0.972 0.727
O4 0.020 0.147 0.230
O5 0.052 0.315 0.890
O6 0.056 0.763 0.385
O7 0.141 0.851 0.231
O8 0.148 0.140 0.734
O9 0.153 0.570 0.237
O10 0.162 0.420 0.730
O11 0.186 0.052 0.388
O12 0.187 0.909 0.893
O13 0.207 0.318 0.387
O14 0.209 0.612 0.891
O15 0.294 0.694 0.730
O16 0.295 0.143 0.235
O17 0.328 0.494 0.391
O18 0.328 0.903 0.533
O19 0.332 0.315 0.900
O20 0.334 0.757 0.381
O21 0.354 0.043 0.890
O22 0.355 0.886 0.034
O23 0.416 0.576 0.229
O24 0.420 0.149 0.720
O25 0.444 0.252 0.492
O26 0.465 0.213 0.131
O27 0.465 0.444 0.987
O28 0.468 0.439 0.636
O29 0.471 0.432 0.811
O30 0.473 0.231 0.312
O31 0.486 0.897 0.385
O32 0.488 0.744 0.883
O33 0.590 0.699 0.234
O34 0.590 0.850 0.732
O35 0.591 0.574 0.727
O36 0.592 0.969 0.232
O37 0.657 0.462 0.126
O38 0.667 0.023 0.986
O39 0.675 0.029 0.810
O40 0.677 0.429 0.482
O41 0.682 0.013 0.634
O42 0.686 0.427 0.303
O43 0.752 0.492 0.897
O44 0.752 0.612 0.391
O45 0.753 0.768 0.888
O46 0.759 0.887 0.397
O47 0.859 0.710 0.243
O48 0.862 0.564 0.741
O49 0.872 0.244 0.800
O50 0.874 0.228 0.978
O51 0.875 0.027 0.308
O52 0.899 0.006 0.487
O53 0.900 0.026 0.128
O54 0.914 0.210 0.624
O55 0.929 0.892 0.903
O56 0.936 0.315 0.397
O57 0.998 0.721 0.733
O58 0.999 0.570 0.588



10.
# Mn2OF3, relaxed, DFT PBE+U
# MP2020-corrected energy	-7.457	eV/atom
# formation enthalpy at 0 K	-2.62	eV/atom
# DFT total energy	-6.5556	eV/atom
data_Mn2OF3
_space_group_name_H-M_alt 'C m c m'
_space_group_IT_number 63
_space_group_name_Hall '-C 2c 2'
_cell_length_a 7.115
_cell_length_b 6.718
_cell_length_c 12.644
_cell_angle_alpha 90.00
_cell_angle_beta 90.00
_cell_angle_gamma 90.00
loop_
_atom_site_label
_atom_site_fract_x
_atom_site_fract_y
_atom_site_fract_z
Mn1 0.000 0.000 0.000
Mn2 0.000 0.001 0.250
Mn3 0.000 0.469 0.625
O1 0.000 0.172 0.625
F1 0.000 0.212 0.131
F2 0.195 0.481 0.750
F3 0.201 0.500 0.000



Which value of formation enthalpy at 0 K does entry 9 give? -2.58 eV/atom